A plane-wave DFT calculation with GGA+U was carried out for crystalline SmVO4 at its relaxed geometry.

Summary:
ρ	5.0	g/cm3
calculated total energy	-8.05	eV/atom

Lattice parameters (Å, degrees): 6.1204 6.1204 6.1204 106.10 106.10 116.45
With the nearest neighbours (Å) after each atom.
Element x y z (fractional)
Sm  0.3750  0.6250  0.7500  8 O 2.39-2.50
Sm  0.6250  0.3750  0.2500  8 O 2.39-2.50
V  0.1250  0.8750  0.2500  4 O 1.74
V  0.8750  0.1250  0.7500  4 O 1.74
O  0.1336  0.7019  0.4318  1 V 1.74
O  0.2299  0.2981  0.9318  1 V 1.74
O  0.2981  0.2299  0.4318  1 V 1.74
O  0.2981  0.8664  0.0682  1 V 1.74
O  0.7019  0.1336  0.9318  1 V 1.74
O  0.7019  0.7701  0.5682  1 V 1.74
O  0.7701  0.7019  0.0682  1 V 1.74
O  0.8664  0.2981  0.5682  1 V 1.74

A plane-wave DFT calculation with GGA+U was carried out for crystalline SmVO4 at its relaxed geometry.

Summary:
ρ	5.7	g/cm3
calculated total energy	-8.01	eV/atom

Lattice parameters (Å, degrees): 6.8349 6.8349 6.8349 135.63 135.63 64.55
With the nearest neighbours (Å) after each atom.
Element x y z (fractional)
Sm  0.3750  0.1250  0.2500  8 O 2.43-2.46
Sm  0.6250  0.8750  0.7500  8 O 2.43-2.46
V  0.1250  0.3750  0.7500  4 O 1.76
V  0.8750  0.6250  0.2500  4 O 1.76
O  0.0623  0.7063  0.8585  1 V 1.76
O  0.2063  0.8479  0.6441  1 V 1.76
O  0.2962  0.4377  0.1441  1 V 1.76
O  0.3479  0.2038  0.6415  1 V 1.76
O  0.6521  0.7962  0.3585  1 V 1.76
O  0.7038  0.5623  0.8559  1 V 1.76
O  0.7937  0.1521  0.3559  1 V 1.76
O  0.9377  0.2937  0.1415  1 V 1.76

A plane-wave DFT calculation with GGA+U was carried out for crystalline Sm2V2O7 at its relaxed geometry.

Summary:
ρ	6.3	g/cm3
calculated total energy	-8.02	eV/atom

Lattice parameters (Å, degrees): 7.2501 7.2501 7.2501 60.00 60.00 60.00
With the nearest neighbours (Å) after each atom.
Element x y z (fractional)
Sm  0.0000  0.0000  0.0000  2 O 2.22
Sm  0.0000  0.0000  0.5000  2 O 2.22
Sm  0.0000  0.5000  0.0000  2 O 2.22
Sm  0.5000  0.0000  0.0000  2 O 2.22
V  0.0000  0.5000  0.5000  6 O 1.98
V  0.5000  0.0000  0.5000  6 O 1.98
V  0.5000  0.5000  0.0000  6 O 1.98
V  0.5000  0.5000  0.5000  6 O 1.98
O  0.1250  0.1250  0.1250  4 Sm 2.22
O  0.1719  0.1719  0.5781  2 V 1.98
O  0.1719  0.5781  0.1719  2 V 1.98
O  0.1719  0.5781  0.5781  2 V 1.98
O  0.4219  0.4219  0.8281  2 V 1.98
O  0.4219  0.8281  0.4219  2 V 1.98
O  0.4219  0.8281  0.8281  2 V 1.98
O  0.5781  0.1719  0.1719  2 V 1.98
O  0.5781  0.1719  0.5781  2 V 1.98
O  0.5781  0.5781  0.1719  2 V 1.98
O  0.8281  0.4219  0.4219  2 V 1.98
O  0.8281  0.4219  0.8281  2 V 1.98
O  0.8281  0.8281  0.4219  2 V 1.98
O  0.8750  0.8750  0.8750  4 Sm 2.22

A plane-wave DFT calculation with GGA+U was carried out for crystalline SmVO3 at its relaxed geometry.

Summary:
ρ	7.0	g/cm3
calculated total energy	-7.93	eV/atom

Lattice parameters (Å, degrees): 3.9041 3.9041 3.9041 90.00 90.00 90.00
With the nearest neighbours (Å) after each atom.
Element x y z (fractional)
Sm  0.0000  0.0000  0.0000  12 O 2.76
V  0.5000  0.5000  0.5000  6 O 1.95
O  0.0000  0.5000  0.5000  2 V 1.95
O  0.5000  0.0000  0.5000  2 V 1.95
O  0.5000  0.5000  0.0000  2 V 1.95

A plane-wave DFT calculation with GGA+U was carried out for crystalline SmVO3 at its relaxed geometry.

Summary:
ρ	6.8	g/cm3
calculated total energy	-8.23	eV/atom

Lattice parameters (Å, degrees): 5.7467 7.7292 5.4466 90.00 90.00 90.00
With the nearest neighbours (Å) after each atom.
Element x y z (fractional)
Sm  0.0647  0.2500  0.0185  6 O 2.33-2.57
Sm  0.4353  0.7500  0.5185  6 O 2.33-2.57
Sm  0.5647  0.2500  0.4815  6 O 2.33-2.57
Sm  0.9353  0.7500  0.9815  6 O 2.33-2.57
V  0.0000  0.0000  0.5000  6 O 2.01-2.11
V  0.0000  0.5000  0.5000  6 O 2.01-2.11
V  0.5000  0.0000  0.0000  6 O 2.01-2.11
V  0.5000  0.5000  0.0000  6 O 2.01-2.11
O  0.0341  0.7500  0.3958  2 V 2.02
O  0.1936  0.5526  0.7992  2 V 2.01-2.11
O  0.1936  0.9474  0.7992  2 V 2.01-2.11
O  0.3064  0.0526  0.2992  2 V 2.01-2.11
O  0.3064  0.4474  0.2992  2 V 2.01-2.11
O  0.4659  0.2500  0.8958  2 V 2.02
O  0.5341  0.7500  0.1042  2 V 2.02
O  0.6936  0.5526  0.7008  2 V 2.01-2.11
O  0.6936  0.9474  0.7008  2 V 2.01-2.11
O  0.8064  0.0526  0.2008  2 V 2.01-2.11
O  0.8064  0.4474  0.2008  2 V 2.01-2.11
O  0.9659  0.2500  0.6042  2 V 2.02

A plane-wave DFT calculation with GGA+U was carried out for crystalline Sm2V2O7 at its relaxed geometry.

Summary:
ρ	5.8	g/cm3
calculated total energy	-8.01	eV/atom

Lattice parameters (Å, degrees): 6.9349 7.0116 12.6193 99.70 100.56 92.12
With the nearest neighbours (Å) after each atom.
Element x y z (fractional)
Sm  0.1643  0.1172  0.1314  6 O 2.31-2.51
Sm  0.2395  0.7810  0.6270  6 O 2.35-2.56
Sm  0.2807  0.2170  0.8610  6 O 2.36-2.47
Sm  0.3265  0.5256  0.3606  6 O 2.32-2.40
Sm  0.6735  0.4744  0.6394  6 O 2.32-2.40
Sm  0.7193  0.7830  0.1390  6 O 2.36-2.47
Sm  0.7605  0.2190  0.3730  6 O 2.35-2.56
Sm  0.8357  0.8828  0.8686  6 O 2.31-2.51
V  0.1817  0.6658  0.1054  4 O 1.78-1.99
V  0.1866  0.3214  0.6044  3 O 1.77-1.87
V  0.2356  0.0100  0.3780  4 O 1.80-1.85
V  0.3478  0.6931  0.8808  4 O 1.78-1.85
V  0.6522  0.3069  0.1192  4 O 1.78-1.85
V  0.7644  0.9900  0.6220  4 O 1.80-1.85
V  0.8134  0.6786  0.3956  3 O 1.77-1.87
V  0.8183  0.3342  0.8946  4 O 1.78-1.99
O  0.0044  0.4889  0.6223  1 V 1.77
O  0.0127  0.1787  0.9583  1 V 1.91
O  0.0792  0.1620  0.4573  2 V 1.85-2.00
O  0.0976  0.8579  0.2529  1 V 1.83
O  0.1770  0.4635  0.1747  1 V 1.79
O  0.1897  0.8642  0.8176  1 V 1.84
O  0.2439  0.5372  0.9641  2 V 1.85-1.99
O  0.2799  0.1234  0.6684  1 V 1.80
O  0.3293  0.8354  0.4608  1 V 1.80
O  0.3482  0.4801  0.5467  1 V 1.87
O  0.3637  0.5048  0.7617  1 V 1.85
O  0.3691  0.1869  0.3188  1 V 1.85
O  0.3853  0.8416  0.1332  1 V 1.78
O  0.4164  0.2021  0.0476  1 V 1.78
O  0.5836  0.7979  0.9524  1 V 1.78
O  0.6147  0.1584  0.8668  1 V 1.78
O  0.6309  0.8131  0.6812  1 V 1.85
O  0.6363  0.4952  0.2383  1 V 1.85
O  0.6518  0.5199  0.4533  1 V 1.87
O  0.6707  0.1646  0.5392  1 V 1.80
O  0.7201  0.8766  0.3316  1 V 1.80
O  0.7561  0.4628  0.0359  2 V 1.85-1.99
O  0.8103  0.1358  0.1824  1 V 1.84
O  0.8230  0.5365  0.8253  1 V 1.79
O  0.9024  0.1421  0.7471  1 V 1.83
O  0.9208  0.8380  0.5427  2 V 1.85-2.00
O  0.9873  0.8213  0.0417  1 V 1.91
O  0.9956  0.5111  0.3777  1 V 1.77

| no. | energy of formation from the pure elements (eV per atom) |
| --- | --- |
| 1 | -3.190 |
| 2 | -3.152 |
| 3 | -3.104 |
| 4 | -2.951 |
| 5 | -3.250 |
| 6 | -3.101 |